# Nb2Ni4O9 PBE+U optimized geometry
# electronic total energy	-6.529	eV per atom
# energy above the most stable polymorph in this dataset	30.3	kJ/mol of atoms
# energy with MP2020 corrections	-114.3	eV per formula unit
# calculated volume	10.939	A^3/atom
# space group	Fdd2, No. 43
data_Nb2Ni4O9
_chemical_formula_sum 'Nb16 Ni32 O72'
_symmetry_space_group_name_H-M 'P 1'
_symmetry_Int_Tables_number 1
_symmetry_space_group_name_Hall 'P 1'
_cell_length_a 16.988
_cell_length_b 15.361
_cell_length_c 10.237
_cell_angle_alpha 80.46
_cell_angle_beta 63.09
_cell_angle_gamma 36.46
loop_
_atom_site_label
_atom_site_fract_x
_atom_site_fract_y
_atom_site_fract_z
Nb1 0.935 0.710 0.340
Nb2 0.496 0.150 0.809
Nb3 0.840 0.515 0.936
Nb4 0.101 0.753 0.203
Nb5 0.735 0.410 0.541
Nb6 0.340 0.015 0.935
Nb7 0.235 0.910 0.540
Nb8 0.100 0.754 0.705
Nb9 0.936 0.709 0.840
Nb10 0.203 0.943 0.101
Nb11 0.809 0.545 0.496
Nb12 0.307 0.047 0.497
Nb13 0.540 0.315 0.235
Nb14 0.541 0.314 0.735
Nb15 0.705 0.441 0.100
Nb16 0.497 0.149 0.307
Ni1 0.303 0.699 0.816
Ni2 0.407 0.779 0.714
Ni3 0.816 0.182 0.303
Ni4 0.323 0.365 0.635
Ni5 0.068 0.434 0.551
Ni6 0.974 0.026 0.974
Ni7 0.224 0.276 0.224
Ni8 0.471 0.843 0.150
Ni9 0.479 0.521 0.479
Ni10 0.220 0.283 0.734
Ni11 0.635 0.678 0.323
Ni12 0.971 0.343 0.151
Ni13 0.306 0.694 0.306
Ni14 0.715 0.099 0.907
Ni15 0.729 0.771 0.729
Ni16 0.714 0.100 0.407
Ni17 0.151 0.535 0.971
Ni18 0.887 0.927 0.070
Ni19 0.323 0.363 0.135
Ni20 0.572 0.615 0.885
Ni21 0.814 0.186 0.814
Ni22 0.734 0.762 0.220
Ni23 0.064 0.436 0.064
Ni24 0.488 0.516 0.967
Ni25 0.551 0.947 0.068
Ni26 0.907 0.279 0.715
Ni27 0.885 0.927 0.572
Ni28 0.070 0.115 0.887
Ni29 0.967 0.030 0.488
Ni30 0.150 0.536 0.471
Ni31 0.556 0.944 0.556
Ni32 0.135 0.180 0.323
O1 0.680 0.723 0.108
O2 0.176 0.897 0.439
O3 0.856 0.226 0.094
O4 0.168 0.583 0.771
O5 0.094 0.824 0.856
O6 0.190 0.238 0.600
O7 0.125 0.125 0.018
O8 0.419 0.830 0.369
O9 0.012 0.060 0.279
O10 0.521 0.891 0.431
O11 0.921 0.330 0.869
O12 0.667 0.082 0.773
O13 0.600 0.971 0.190
O14 0.761 0.142 0.527
O15 0.277 0.646 0.511
O16 0.180 0.226 0.106
O17 0.757 0.816 0.864
O18 0.426 0.156 0.024
O19 0.188 0.907 0.932
O20 0.944 0.640 0.016
O21 0.343 0.062 0.277
O22 0.518 0.233 0.626
O23 0.694 0.402 0.928
O24 0.024 0.394 0.426
O25 0.610 0.306 0.850
O26 0.920 0.329 0.369
O27 0.773 0.479 0.667
O28 0.108 0.489 0.680
O29 0.269 0.981 0.667
O30 0.684 0.739 0.604
O31 0.864 0.563 0.757
O32 0.869 0.881 0.921
O33 0.024 0.070 0.762
O34 0.762 0.811 0.353
O35 0.608 0.306 0.351
O36 0.369 0.381 0.920
O37 0.771 0.477 0.168
O38 0.515 0.899 0.944
O39 0.167 0.583 0.269
O40 0.762 0.144 0.024
O41 0.431 0.158 0.521
O42 0.626 0.623 0.518
O43 0.667 0.083 0.269
O44 0.018 0.732 0.125
O45 0.604 0.973 0.684
O46 0.277 0.318 0.343
O47 0.932 0.973 0.188
O48 0.518 0.232 0.125
O49 0.928 0.976 0.694
O50 0.016 0.400 0.944
O51 0.106 0.488 0.180
O52 0.353 0.074 0.762
O53 0.867 0.881 0.420
O54 0.274 0.322 0.848
O55 0.848 0.556 0.274
O56 0.369 0.383 0.419
O57 0.850 0.234 0.610
O58 0.687 0.386 0.434
O59 0.359 0.729 0.092
O60 0.627 0.624 0.017
O61 0.434 0.493 0.687
O62 0.125 0.125 0.518
O63 0.944 0.642 0.515
O64 0.017 0.732 0.627
O65 0.269 0.981 0.167
O66 0.527 0.570 0.761
O67 0.439 0.488 0.176
O68 0.420 0.831 0.867
O69 0.351 0.735 0.608
O70 0.092 0.819 0.359
O71 0.511 0.566 0.277
O72 0.279 0.650 0.012

# Li6V3P8O29 PBE+U optimized geometry
# electronic total energy	-7.017	eV per atom
# energy above the most stable polymorph in this dataset	0.4	kJ/mol of atoms
# energy with MP2020 corrections	-347.8	eV per formula unit
# calculated volume	12.654	A^3/atom
# space group	P1, No. 1
data_Li6V3P8O29
_chemical_formula_sum 'Li12 V6 P16 O58'
_symmetry_space_group_name_H-M 'P 1'
_symmetry_Int_Tables_number 1
_symmetry_space_group_name_Hall 'P 1'
_cell_length_a 9.809
_cell_length_b 9.791
_cell_length_c 13.944
_cell_angle_alpha 89.82
_cell_angle_beta 89.64
_cell_angle_gamma 60.38
loop_
_atom_site_label
_atom_site_fract_x
_atom_site_fract_y
_atom_site_fract_z
Li1 0.912 0.773 0.062
Li2 0.766 0.903 0.558
Li3 0.899 0.338 0.558
Li4 0.773 0.322 0.062
Li5 0.319 0.905 0.059
Li6 0.333 0.769 0.558
Li7 0.691 0.084 0.940
Li8 0.340 0.329 0.611
Li9 0.335 0.336 0.114
Li10 0.093 0.676 0.437
Li11 0.088 0.223 0.940
Li12 0.988 0.038 0.491
V1 0.563 0.437 0.253
V2 0.434 0.567 0.752
V3 0.567 0.996 0.749
V4 0.433 0.001 0.255
V5 0.000 0.566 0.251
V6 0.998 0.432 0.752
P1 0.913 0.768 0.842
P2 0.772 0.914 0.343
P3 0.912 0.313 0.342
P4 0.665 0.670 0.129
P5 0.668 0.665 0.627
P6 0.764 0.320 0.844
P7 0.690 0.224 0.658
P8 0.317 0.912 0.844
P9 0.681 0.090 0.158
P10 0.313 0.772 0.344
P11 0.229 0.682 0.159
P12 0.333 0.335 0.372
P13 0.335 0.329 0.872
P14 0.091 0.683 0.658
P15 0.223 0.088 0.659
P16 0.093 0.228 0.158
O1 0.998 0.768 0.570
O2 0.919 0.747 0.337
O3 0.759 0.995 0.070
O4 0.748 0.916 0.837
O5 0.903 0.617 0.819
O6 0.815 0.668 0.169
O7 0.917 0.468 0.327
O8 0.997 0.248 0.070
O9 0.917 0.330 0.841
O10 0.674 0.811 0.667
O11 0.620 0.906 0.332
O12 0.813 0.512 0.666
O13 0.661 0.671 0.022
O14 0.666 0.668 0.520
O15 0.660 0.522 0.171
O16 0.476 0.907 0.823
O17 0.518 0.821 0.172
O18 0.745 0.344 0.334
O19 0.782 0.203 0.758
O20 0.797 0.214 0.578
O21 0.749 0.248 0.936
O22 0.623 0.483 0.823
O23 0.514 0.669 0.668
O24 0.668 0.254 0.156
O25 0.470 0.618 0.333
O26 0.335 0.915 0.338
O27 0.788 0.003 0.250
O28 0.783 0.991 0.433
O29 0.214 0.995 0.577
O30 0.662 0.080 0.657
O31 0.528 0.374 0.665
O32 0.339 0.748 0.839
O33 0.480 0.334 0.327
O34 0.373 0.515 0.172
O35 0.238 0.770 0.075
O36 0.224 0.775 0.435
O37 0.203 0.782 0.256
O38 0.255 0.667 0.656
O39 0.486 0.182 0.831
O40 0.514 0.113 0.174
O41 0.338 0.475 0.824
O42 0.340 0.330 0.979
O43 0.334 0.336 0.479
O44 0.185 0.490 0.336
O45 0.372 0.104 0.668
O46 0.331 0.188 0.329
O47 0.081 0.661 0.159
O48 0.005 0.787 0.752
O49 0.993 0.756 0.934
O50 0.110 0.517 0.672
O51 0.185 0.327 0.836
O52 0.119 0.370 0.175
O53 0.255 0.078 0.155
O54 0.245 0.001 0.935
O55 0.202 0.013 0.758
O56 0.079 0.259 0.660
O57 0.989 0.229 0.432
O58 0.006 0.206 0.250

# Pr4FeAs4Ru3O4 PBE+U optimized geometry
# electronic total energy	-7.406	eV per atom
# energy with MP2020 corrections	-123.5	eV per formula unit
# calculated volume	18.443	A^3/atom
# space group	P-4m2, No. 115
data_Pr4FeAs4Ru3O4
_chemical_formula_sum 'Pr4 Fe1 As4 Ru3 O4'
_symmetry_space_group_name_H-M 'P 1'
_symmetry_Int_Tables_number 1
_symmetry_space_group_name_Hall 'P 1'
_cell_length_a 4.120
_cell_length_b 4.120
_cell_length_c 17.385
_cell_angle_alpha 90.00
_cell_angle_beta 90.00
_cell_angle_gamma 90.00
loop_
_atom_site_label
_atom_site_fract_x
_atom_site_fract_y
_atom_site_fract_z
Pr1 0.500 0.000 0.183
Pr2 0.500 0.000 0.680
Pr3 0.000 0.500 0.817
Pr4 0.000 0.500 0.320
Fe1 0.500 0.500 0.000
As1 0.500 0.000 0.915
As2 0.500 0.000 0.424
As3 0.000 0.500 0.085
As4 0.000 0.500 0.576
Ru1 0.500 0.500 0.500
Ru2 0.000 0.000 0.000
Ru3 0.000 0.000 0.500
O1 0.500 0.500 0.748
O2 0.500 0.500 0.252
O3 0.000 0.000 0.749
O4 0.000 0.000 0.251

# NaFe3Si3O10 PBE+U optimized geometry
# electronic total energy	-7.187	eV per atom
# energy with MP2020 corrections	-135.8	eV per formula unit
# calculated volume	11.299	A^3/atom
# space group	P-1, No. 2
data_NaFe3Si3O10
_chemical_formula_sum 'Na4 Fe12 Si12 O40'
_symmetry_space_group_name_H-M 'P 1'
_symmetry_Int_Tables_number 1
_symmetry_space_group_name_Hall 'P 1'
_cell_length_a 9.052
_cell_length_b 9.821
_cell_length_c 10.462
_cell_angle_alpha 114.87
_cell_angle_beta 83.54
_cell_angle_gamma 114.09
loop_
_atom_site_label
_atom_site_fract_x
_atom_site_fract_y
_atom_site_fract_z
Na1 0.388 0.634 0.422
Na2 0.369 0.613 0.952
Na3 0.612 0.366 0.578
Na4 0.631 0.387 0.048
Fe1 0.848 0.181 0.949
Fe2 0.181 0.852 0.533
Fe3 0.152 0.819 0.051
Fe4 0.736 0.263 0.257
Fe5 0.819 0.148 0.467
Fe6 0.058 0.934 0.841
Fe7 0.066 0.942 0.346
Fe8 0.934 0.058 0.654
Fe9 0.500 0.000 0.000
Fe10 0.264 0.737 0.743
Fe11 0.000 0.500 0.500
Fe12 0.942 0.066 0.159
Si1 0.551 0.054 0.703
Si2 0.777 0.663 0.938
Si3 0.449 0.946 0.297
Si4 0.658 0.767 0.751
Si5 0.329 0.234 0.758
Si6 0.954 0.444 0.795
Si7 0.342 0.233 0.249
Si8 0.760 0.663 0.452
Si9 0.240 0.337 0.548
Si10 0.223 0.337 0.062
Si11 0.046 0.556 0.205
Si12 0.671 0.766 0.242
O1 0.723 0.068 0.082
O2 0.627 0.679 0.576
O3 0.373 0.321 0.424
O4 0.176 0.068 0.208
O5 0.063 0.167 0.014
O6 0.333 0.361 0.690
O7 0.870 0.399 0.147
O8 0.074 0.170 0.508
O9 0.604 0.125 0.364
O10 0.835 0.932 0.286
O11 0.112 0.604 0.366
O12 0.071 0.725 0.658
O13 0.958 0.288 0.812
O14 0.824 0.932 0.792
O15 0.396 0.883 0.128
O16 0.929 0.275 0.342
O17 0.277 0.932 0.918
O18 0.321 0.367 0.201
O19 0.509 0.803 0.295
O20 0.815 0.501 0.900
O21 0.888 0.396 0.634
O22 0.937 0.833 0.986
O23 0.298 0.951 0.397
O24 0.042 0.712 0.188
O25 0.650 0.661 0.067
O26 0.604 0.117 0.872
O27 0.350 0.339 0.933
O28 0.492 0.783 0.825
O29 0.782 0.496 0.429
O30 0.926 0.830 0.492
O31 0.667 0.639 0.310
O32 0.396 0.875 0.636
O33 0.508 0.217 0.175
O34 0.165 0.068 0.714
O35 0.702 0.049 0.603
O36 0.185 0.499 0.100
O37 0.491 0.197 0.705
O38 0.218 0.504 0.571
O39 0.130 0.601 0.853
O40 0.679 0.633 0.799